# 1
{"formula": "Na2NbBiO6", "functional": "GGA-PBE", "state": "relaxed", "cell": [[0.000, 4.097, 4.097], [4.097, 0.000, 4.097], [4.097, 4.097, 0.000]], "species": ["Na", "Na", "Nb", "Bi", "O", "O", "O", "O", "O", "O"], "fractional_positions": [[0.250, 0.250, 0.250], [0.750, 0.750, 0.750], [0.000, 0.000, 0.000], [0.500, 0.500, 0.500], [0.243, 0.243, 0.757], [0.243, 0.757, 0.243], [0.243, 0.757, 0.757], [0.757, 0.243, 0.243], [0.757, 0.243, 0.757], [0.757, 0.757, 0.243]], "formation_energy_ev_per_atom": -2.093, "crystal_system": "cubic", "volume_a3_per_atom": 13.755, "energy_mp2020_ev_per_atom": -6.73}

***

# 2
{"formula": "PrTlAg2", "functional": "GGA-PBE", "state": "relaxed", "cell": [[0.000, 3.625, 3.625], [3.625, 0.000, 3.625], [3.625, 3.625, 0.000]], "species": ["Pr", "Tl", "Ag", "Ag"], "fractional_positions": [[0.000, 0.000, 0.000], [0.500, 0.500, 0.500], [0.250, 0.250, 0.250], [0.750, 0.750, 0.750]], "formation_energy_ev_per_atom": -0.256, "crystal_system": "cubic", "volume_a3_per_atom": 23.808}

***

# 3
{"formula": "GeAs2", "functional": "GGA-PBE", "state": "relaxed", "cell": [[10.663, 0.000, 0.000], [0.000, 15.531, 0.000], [0.000, 0.000, 3.772]], "species": ["Ge", "Ge", "Ge", "Ge", "Ge", "Ge", "Ge", "Ge", "As", "As", "As", "As", "As", "As", "As", "As", "As", "As", "As", "As", "As", "As", "As", "As"], "fractional_positions": [[0.077, 0.149, 0.000], [0.209, 0.772, 0.500], [0.291, 0.272, 0.500], [0.423, 0.649, 0.000], [0.577, 0.351, 0.000], [0.709, 0.728, 0.500], [0.791, 0.228, 0.500], [0.923, 0.851, 0.000], [0.060, 0.896, 0.500], [0.115, 0.621, 0.500], [0.145, 0.301, 0.000], [0.237, 0.552, 0.000], [0.263, 0.052, 0.000], [0.355, 0.801, 0.000], [0.385, 0.121, 0.500], [0.440, 0.396, 0.500], [0.560, 0.604, 0.500], [0.615, 0.879, 0.500], [0.645, 0.199, 0.000], [0.737, 0.948, 0.000], [0.763, 0.448, 0.000], [0.855, 0.699, 0.000], [0.885, 0.379, 0.500], [0.940, 0.104, 0.500]], "formation_energy_ev_per_atom": -0.041, "crystal_system": "orthorhombic", "volume_a3_per_atom": 26.030}

***

# 4
{"formula": "YGa2Ni3", "functional": "GGA-PBE", "state": "relaxed", "cell": [[9.032, 0.000, 0.000], [-4.516, 7.822, 0.000], [0.000, 0.000, 3.881]], "species": ["Y", "Y", "Y", "Ga", "Ga", "Ga", "Ga", "Ga", "Ga", "Ni", "Ni", "Ni", "Ni", "Ni", "Ni", "Ni", "Ni", "Ni"], "fractional_positions": [[0.000, 0.000, 0.000], [0.333, 0.667, 0.000], [0.667, 0.333, 0.500], [0.037, 0.519, 0.500], [0.158, 0.316, 0.500], [0.158, 0.842, 0.500], [0.481, 0.519, 0.500], [0.481, 0.963, 0.500], [0.684, 0.842, 0.500], [0.298, 0.149, 0.500], [0.363, 0.033, 0.000], [0.363, 0.330, 0.000], [0.670, 0.033, 0.000], [0.670, 0.637, 0.000], [0.851, 0.149, 0.500], [0.851, 0.702, 0.500], [0.967, 0.330, 0.000], [0.967, 0.637, 0.000]], "formation_energy_ev_per_atom": -0.438, "crystal_system": "hexagonal", "volume_a3_per_atom": 15.233}

***

# 5
{"formula": "SbP4O12", "functional": "GGA-PBE", "state": "relaxed", "cell": [[7.436, 0.000, 0.000], [-3.105, 7.304, 0.000], [-3.278, -2.377, 9.179]], "species": ["Sb", "Sb", "P", "P", "P", "P", "P", "P", "P", "P", "O", "O", "O", "O", "O", "O", "O", "O", "O", "O", "O", "O", "O", "O", "O", "O", "O", "O", "O", "O", "O", "O", "O", "O"], "fractional_positions": [[0.000, 0.000, 0.000], [0.000, 0.500, 0.500], [0.010, 0.351, 0.815], [0.269, 0.731, 0.023], [0.279, 0.268, 0.534], [0.488, 0.320, 0.318], [0.512, 0.680, 0.682], [0.721, 0.732, 0.466], [0.731, 0.269, 0.977], [0.990, 0.649, 0.185], [0.033, 0.173, 0.831], [0.044, 0.630, 0.344], [0.106, 0.790, 0.931], [0.114, 0.331, 0.438], [0.178, 0.642, 0.146], [0.218, 0.115, 0.604], [0.222, 0.531, 0.920], [0.295, 0.686, 0.638], [0.340, 0.219, 0.165], [0.389, 0.229, 0.428], [0.472, 0.466, 0.649], [0.497, 0.851, 0.094], [0.503, 0.149, 0.906], [0.528, 0.534, 0.351], [0.611, 0.771, 0.572], [0.660, 0.781, 0.835], [0.705, 0.314, 0.362], [0.778, 0.469, 0.080], [0.782, 0.885, 0.396], [0.822, 0.358, 0.854], [0.886, 0.669, 0.562], [0.894, 0.210, 0.069], [0.956, 0.370, 0.656], [0.967, 0.827, 0.169]], "formation_energy_ev_per_atom": -2.377, "crystal_system": "triclinic", "volume_a3_per_atom": 14.662, "polymorph_energy_ev_per_atom": 0.000, "energy_mp2020_ev_per_atom": -7.39}

***

# 6
{"formula": "Ir3Rh", "functional": "GGA-PBE", "state": "relaxed", "cell": [[3.869, 0.000, 0.000], [0.000, 3.869, 0.000], [0.000, 0.000, 3.869]], "species": ["Ir", "Ir", "Ir", "Rh"], "fractional_positions": [[0.000, 0.000, 0.500], [0.000, 0.500, 0.000], [0.500, 0.000, 0.000], [0.500, 0.500, 0.500]], "formation_energy_ev_per_atom": -0.012, "crystal_system": "cubic", "volume_a3_per_atom": 14.481}

***

# 7
{"formula": "La8Cu7O19", "functional": "GGA-PBE", "state": "relaxed", "cell": [[3.775, 0.000, 0.000], [1.872, 6.908, 0.000], [1.859, 1.279, 34.173]], "species": ["La", "La", "La", "La", "La", "La", "La", "La", "La", "La", "La", "La", "La", "La", "La", "La", "Cu", "Cu", "Cu", "Cu", "Cu", "Cu", "Cu", "Cu", "Cu", "Cu", "Cu", "Cu", "Cu", "Cu", "O", "O", "O", "O", "O", "O", "O", "O", "O", "O", "O", "O", "O", "O", "O", "O", "O", "O", "O", "O", "O", "O", "O", "O", "O", "O", "O", "O", "O", "O", "O", "O", "O", "O", "O", "O", "O", "O"], "fractional_positions": [[0.000, 0.000, 0.000], [0.002, 0.764, 0.258], [0.071, 0.873, 0.894], [0.079, 0.639, 0.151], [0.101, 0.141, 0.652], [0.127, 0.375, 0.394], [0.202, 0.741, 0.787], [0.245, 0.241, 0.287], [0.295, 0.611, 0.681], [0.379, 0.114, 0.182], [0.697, 0.526, 0.970], [0.780, 0.029, 0.470], [0.837, 0.395, 0.865], [0.883, 0.896, 0.365], [0.947, 0.263, 0.758], [0.973, 0.502, 0.500], [0.306, 0.811, 0.544], [0.313, 0.319, 0.045], [0.316, 0.972, 0.099], [0.397, 0.199, 0.934], [0.444, 0.703, 0.434], [0.492, 0.168, 0.553], [0.515, 0.067, 0.826], [0.567, 0.569, 0.326], [0.583, 0.473, 0.599], [0.634, 0.938, 0.718], [0.680, 0.439, 0.218], [0.761, 0.664, 0.053], [0.769, 0.322, 0.107], [0.774, 0.827, 0.607], [0.014, 0.067, 0.826], [0.065, 0.569, 0.326], [0.092, 0.662, 0.006], [0.135, 0.936, 0.718], [0.183, 0.437, 0.218], [0.211, 0.168, 0.506], [0.213, 0.540, 0.911], [0.300, 0.265, 0.104], [0.301, 0.040, 0.411], [0.310, 0.756, 0.604], [0.330, 0.413, 0.806], [0.359, 0.262, 0.989], [0.366, 0.763, 0.489], [0.425, 0.915, 0.305], [0.431, 0.285, 0.704], [0.457, 0.139, 0.879], [0.458, 0.454, 0.545], [0.500, 0.642, 0.379], [0.517, 0.947, 0.045], [0.532, 0.854, 0.947], [0.546, 0.784, 0.205], [0.565, 0.687, 0.106], [0.579, 0.998, 0.772], [0.618, 0.187, 0.605], [0.623, 0.497, 0.272], [0.640, 0.354, 0.447], [0.657, 0.722, 0.845], [0.712, 0.875, 0.663], [0.720, 0.376, 0.163], [0.757, 0.225, 0.346], [0.766, 0.883, 0.547], [0.770, 0.595, 0.741], [0.781, 0.375, 0.048], [0.862, 0.099, 0.241], [0.865, 0.474, 0.645], [0.896, 0.201, 0.933], [0.944, 0.705, 0.433], [0.985, 0.974, 0.145]], "formation_energy_ev_per_atom": -2.604, "crystal_system": "triclinic", "volume_a3_per_atom": 13.104, "polymorph_energy_ev_per_atom": 0.004, "energy_mp2020_ev_per_atom": -7.37}

***

# 8
{"formula": "BaIBr", "functional": "GGA-PBE", "state": "relaxed", "cell": [[8.853, 0.000, 0.000], [0.000, 5.151, 0.000], [0.000, 0.000, 10.252]], "species": ["Ba", "Ba", "Ba", "Ba", "I", "I", "I", "I", "Br", "Br", "Br", "Br"], "fractional_positions": [[0.229, 0.250, 0.125], [0.271, 0.750, 0.625], [0.729, 0.250, 0.375], [0.771, 0.750, 0.875], [0.028, 0.750, 0.332], [0.472, 0.250, 0.832], [0.528, 0.750, 0.168], [0.972, 0.250, 0.668], [0.143, 0.750, 0.933], [0.357, 0.250, 0.433], [0.643, 0.750, 0.567], [0.857, 0.250, 0.067]], "formation_energy_ev_per_atom": -2.220, "crystal_system": "orthorhombic", "volume_a3_per_atom": 38.958, "energy_mp2020_ev_per_atom": -3.91}

***

# 9
{"formula": "Ho3Ga8Rh3", "functional": "GGA-PBE", "state": "relaxed", "cell": [[-2.098, 4.952, 6.124], [2.098, -4.952, 6.124], [2.098, 4.952, -6.124]], "species": ["Ho", "Ho", "Ho", "Ga", "Ga", "Ga", "Ga", "Ga", "Ga", "Ga", "Ga", "Rh", "Rh", "Rh"], "fractional_positions": [[0.000, 0.000, 0.000], [0.328, 0.328, 0.000], [0.672, 0.672, 0.000], [0.037, 0.665, 0.372], [0.161, 0.875, 0.286], [0.293, 0.665, 0.628], [0.411, 0.125, 0.286], [0.589, 0.875, 0.714], [0.707, 0.335, 0.372], [0.839, 0.125, 0.714], [0.963, 0.335, 0.628], [0.285, 0.500, 0.785], [0.500, 0.000, 0.500], [0.715, 0.500, 0.215]], "formation_energy_ev_per_atom": -0.702, "crystal_system": "orthorhombic", "volume_a3_per_atom": 18.180}

***

# 10
{"formula": "Na3ZrInSiP2O12", "functional": "GGA-PBE", "state": "relaxed", "cell": [[-13.957, 0.190, 7.570], [-2.983, -6.771, -5.330], [7.191, -5.104, 2.459]], "species": ["Na", "Na", "Na", "Na", "Na", "Na", "Na", "Na", "Na", "Na", "Na", "Na", "Zr", "Zr", "Zr", "Zr", "In", "In", "In", "In", "Si", "Si", "Si", "Si", "P", "P", "P", "P", "P", "P", "P", "P", "O", "O", "O", "O", "O", "O", "O", "O", "O", "O", "O", "O", "O", "O", "O", "O", "O", "O", "O", "O", "O", "O", "O", "O", "O", "O", "O", "O", "O", "O", "O", "O", "O", "O", "O", "O", "O", "O", "O", "O", "O", "O", "O", "O", "O", "O", "O", "O"], "fractional_positions": [[0.256, 0.715, 0.995], [0.756, 0.785, 0.495], [0.756, 0.215, 0.995], [0.256, 0.285, 0.495], [0.508, 0.113, 0.761], [0.508, 0.887, 0.261], [0.008, 0.613, 0.761], [0.008, 0.387, 0.261], [0.185, 0.932, 0.281], [0.185, 0.068, 0.781], [0.685, 0.432, 0.281], [0.685, 0.568, 0.781], [0.895, 0.757, 0.941], [0.895, 0.243, 0.441], [0.395, 0.257, 0.941], [0.395, 0.743, 0.441], [0.101, 0.746, 0.556], [0.101, 0.254, 0.056], [0.601, 0.246, 0.556], [0.601, 0.754, 0.056], [0.644, 0.894, 0.736], [0.644, 0.106, 0.236], [0.144, 0.394, 0.736], [0.144, 0.606, 0.236], [0.002, 0.954, 0.762], [0.002, 0.046, 0.262], [0.502, 0.454, 0.762], [0.502, 0.546, 0.262], [0.350, 0.898, 0.757], [0.350, 0.102, 0.257], [0.850, 0.398, 0.757], [0.850, 0.602, 0.257], [0.150, 0.573, 0.743], [0.849, 0.570, 0.755], [0.849, 0.430, 0.255], [0.150, 0.427, 0.243], [0.650, 0.073, 0.743], [0.349, 0.070, 0.755], [0.349, 0.930, 0.255], [0.650, 0.927, 0.243], [0.447, 0.562, 0.602], [0.564, 0.538, 0.938], [0.564, 0.462, 0.438], [0.447, 0.438, 0.102], [0.947, 0.062, 0.602], [0.064, 0.038, 0.938], [0.064, 0.962, 0.438], [0.947, 0.938, 0.102], [0.255, 0.846, 0.748], [0.742, 0.813, 0.749], [0.742, 0.187, 0.249], [0.255, 0.154, 0.248], [0.755, 0.346, 0.748], [0.242, 0.313, 0.749], [0.242, 0.687, 0.249], [0.755, 0.654, 0.248], [0.350, 0.852, 0.592], [0.642, 0.840, 0.900], [0.642, 0.160, 0.400], [0.350, 0.148, 0.092], [0.850, 0.352, 0.592], [0.142, 0.340, 0.900], [0.142, 0.660, 0.400], [0.850, 0.648, 0.092], [0.446, 0.841, 0.931], [0.538, 0.835, 0.551], [0.538, 0.165, 0.051], [0.446, 0.159, 0.431], [0.946, 0.341, 0.931], [0.038, 0.335, 0.551], [0.038, 0.665, 0.051], [0.946, 0.659, 0.431], [0.078, 0.855, 0.751], [0.918, 0.857, 0.751], [0.918, 0.143, 0.251], [0.078, 0.145, 0.251], [0.578, 0.355, 0.751], [0.418, 0.357, 0.751], [0.418, 0.643, 0.251], [0.578, 0.645, 0.251]], "formation_energy_ev_per_atom": -2.818, "volume_a3_per_atom": 13.626, "polymorph_energy_ev_per_atom": 0.002, "energy_mp2020_ev_per_atom": -7.36}

***

# 11
{"formula": "Nd2Co17N2", "functional": "GGA-PBE", "state": "relaxed", "cell": [[4.727, -4.272, 0.000], [4.727, 4.272, 0.000], [-0.904, 0.000, 6.363]], "species": ["Nd", "Nd", "Co", "Co", "Co", "Co", "Co", "Co", "Co", "Co", "Co", "Co", "Co", "Co", "Co", "Co", "Co", "Co", "Co", "N", "N"], "fractional_positions": [[0.150, 0.150, 0.335], [0.850, 0.850, 0.665], [0.000, 0.500, 0.000], [0.155, 0.155, 0.867], [0.158, 0.636, 0.343], [0.217, 0.497, 0.721], [0.219, 0.781, 0.000], [0.364, 0.842, 0.657], [0.411, 0.411, 0.107], [0.497, 0.217, 0.721], [0.500, 0.000, 0.000], [0.500, 0.500, 0.500], [0.503, 0.783, 0.279], [0.589, 0.589, 0.893], [0.636, 0.158, 0.343], [0.781, 0.219, 0.000], [0.783, 0.503, 0.279], [0.842, 0.364, 0.657], [0.845, 0.845, 0.133], [0.000, 0.500, 0.500], [0.500, 0.000, 0.500]], "formation_energy_ev_per_atom": -0.131, "crystal_system": "monoclinic", "volume_a3_per_atom": 12.238, "energy_mp2020_ev_per_atom": -7.13}

***

# 12
{"formula": "CaBi3O7", "functional": "GGA-PBE", "state": "relaxed", "cell": [[11.229, 0.000, 0.000], [0.000, 11.191, 0.000], [0.000, 0.000, 5.747]], "species": ["Ca", "Ca", "Ca", "Ca", "Bi", "Bi", "Bi", "Bi", "Bi", "Bi", "Bi", "Bi", "Bi", "Bi", "Bi", "Bi", "O", "O", "O", "O", "O", "O", "O", "O", "O", "O", "O", "O", "O", "O", "O", "O", "O", "O", "O", "O", "O", "O", "O", "O", "O", "O", "O", "O"], "fractional_positions": [[0.144, 0.250, 0.183], [0.356, 0.750, 0.683], [0.644, 0.250, 0.317], [0.856, 0.750, 0.817], [0.133, 0.009, 0.642], [0.133, 0.491, 0.642], [0.148, 0.750, 0.179], [0.352, 0.250, 0.679], [0.367, 0.509, 0.142], [0.367, 0.991, 0.142], [0.633, 0.009, 0.858], [0.633, 0.491, 0.858], [0.648, 0.750, 0.321], [0.852, 0.250, 0.821], [0.867, 0.509, 0.358], [0.867, 0.991, 0.358], [0.034, 0.250, 0.827], [0.038, 0.085, 0.340], [0.038, 0.415, 0.340], [0.217, 0.625, 0.936], [0.217, 0.875, 0.936], [0.224, 0.627, 0.428], [0.224, 0.873, 0.428], [0.276, 0.127, 0.928], [0.276, 0.373, 0.928], [0.283, 0.125, 0.436], [0.283, 0.375, 0.436], [0.462, 0.585, 0.840], [0.462, 0.915, 0.840], [0.466, 0.750, 0.327], [0.534, 0.250, 0.673], [0.538, 0.085, 0.160], [0.538, 0.415, 0.160], [0.717, 0.625, 0.564], [0.717, 0.875, 0.564], [0.724, 0.627, 0.072], [0.724, 0.873, 0.072], [0.776, 0.127, 0.572], [0.776, 0.373, 0.572], [0.783, 0.125, 0.064], [0.783, 0.375, 0.064], [0.962, 0.585, 0.660], [0.962, 0.915, 0.660], [0.966, 0.750, 0.173]], "formation_energy_ev_per_atom": -1.766, "crystal_system": "orthorhombic", "volume_a3_per_atom": 16.413, "energy_mp2020_ev_per_atom": -6.16}

***

Question: What is the formula in the second record?
Answer: PrTlAg2